No. 1
Material: TeS2N2Cl2
Method: DFT, PBE
State: relaxed

Summary:
Formation energy, eV/atom: -0.115
Magnetic moment, μB per formula unit: 0.00

Cell: 20.423 9.448 7.759 Å, 90.00 96.82 90.00°
Space group C2/c (No. 15)
Symmetry-distinct sites (fractional):
1 Te 0.100 0.167 0.200 x8
2 S 0.081 0.424 0.129 x8
3 S 0.205 0.395 0.323 x8
4 N 0.151 0.490 0.218 x8
5 N 0.186 0.235 0.329 x8
6 Cl 0.034 0.194 0.483 x8
7 Cl 0.153 0.124 0.927 x8


No. 2
Material: K2H4Pt
Method: DFT, PBE
State: relaxed

Summary:
Formation energy, eV/atom: -0.403

Cell: 5.637 5.637 8.204 Å, 90.00 90.00 90.00°
Space group P4_2/mnm (No. 136)
Symmetry-distinct sites (fractional):
1 K 0.000 0.500 0.250 x4
2 H 0.000 0.000 0.203 x4
3 H 0.209 0.209 0.000 x4
4 Pt 0.000 0.000 0.000 x2


The lowest formation energy belongs to which entry? K2H4Pt